Compound: Au
Source: the Materials Project database
Functional: PBE-GGA
Structure: relaxed

Summary:
energy relative to the lowest polymorph listed for this composition: 5.3 meV per atom

The structure in CIF format:
```
data_Au
_chemical_formula_sum 'Au2'
_space_group_name_H-M_alt 'P 63/m m c'
_space_group_IT_number 194
_space_group_name_Hall '-P 6c 2c'
_cell_length_a 2.9381
_cell_length_b 2.9381
_cell_length_c 4.8788
_cell_angle_alpha 90.00
_cell_angle_beta 90.00
_cell_angle_gamma 120.00
loop_
_atom_site_label
_atom_site_fract_x
_atom_site_fract_y
_atom_site_fract_z
_atom_site_occupancy
Au1 0.3333 0.6667 0.2500 1
```

---

Compound: Na6Si8O19
Source: the Materials Project database
Functional: PBE-GGA
Structure: relaxed

Summary:
total magnetization: 0.0001 μB per atom

The structure in CIF format:
```
data_Na6Si8O19
_chemical_formula_sum 'Na24 Si32 O76'
_space_group_name_H-M_alt 'P 1 21/c 1'
_space_group_IT_number 14
_cell_length_a 4.9628
_cell_length_b 23.7608
_cell_length_c 15.5873
_cell_angle_alpha 90.00
_cell_angle_beta 90.12
_cell_angle_gamma 90.00
loop_
_space_group_symop_operation_xyz
'x,y,z'
'-x,-y,-z'
'-x,y+1/2,-z+1/2'
'x,-y+1/2,z+1/2'
loop_
_atom_site_label
_atom_site_fract_x
_atom_site_fract_y
_atom_site_fract_z
_atom_site_occupancy
Na1 0.2340 0.0166 0.0724 1
Na2 0.2372 0.5996 0.3947 1
Na3 0.2604 0.7291 0.9924 1
Na4 0.2607 0.5499 0.0279 1
Na5 0.2644 0.1389 0.4568 1
Na6 0.2651 0.1801 0.0320 1
Si1 0.1969 0.6354 0.5885 1
Si2 0.1982 0.6586 0.1771 1
Si3 0.2026 0.1941 0.6381 1
Si4 0.2101 0.0069 0.3566 1
Si5 0.2952 0.7160 0.7478 1
Si6 0.2996 0.0660 0.6742 1
Si7 0.3013 0.1051 0.2338 1
Si8 0.3026 0.0616 0.8799 1
O1 0.1085 0.0145 0.6401 1
O2 0.1096 0.7116 0.8347 1
O3 0.1164 0.1121 0.9238 1
O4 0.1209 0.1457 0.2978 1
O5 0.2124 0.1246 0.6269 1
O6 0.2224 0.6648 0.6833 1
O7 0.2380 0.0003 0.9163 1
O8 0.2416 0.1089 0.1332 1
O9 0.2499 0.7257 0.1963 1
O10 0.2517 0.6452 0.0780 1
O11 0.2610 0.0389 0.2646 1
O12 0.2647 0.6737 0.5070 1
O13 0.2665 0.0422 0.4416 1
O14 0.2702 0.2220 0.5474 1
O15 0.2708 0.0711 0.7767 1
O16 0.3787 0.6221 0.2475 1
O17 0.3825 0.5774 0.5929 1
O18 0.3908 0.5522 0.8552 1
O19 0.3925 0.2122 0.7201 1
```

---

Compound: Ni11Ge2Te4
Source: the Materials Project database
Functional: PBE-GGA
Structure: relaxed

Summary:
total magnetization: 0.0004 μB per atom

The structure in CIF format:
```
data_Ni11Ge2Te4
_chemical_formula_sum 'Ni11 Ge2 Te4'
_space_group_name_H-M_alt 'P 4 m m'
_space_group_IT_number 99
_cell_length_a 3.7043
_cell_length_b 3.7043
_cell_length_c 19.0481
_cell_angle_alpha 90.00
_cell_angle_beta 90.00
_cell_angle_gamma 90.00
loop_
_space_group_symop_operation_xyz
'x,y,z'
'-y,x,z'
'-x,-y,z'
'y,-x,z'
'-x,y,z'
'y,x,z'
'x,-y,z'
'-y,-x,z'
loop_
_atom_site_label
_atom_site_fract_x
_atom_site_fract_y
_atom_site_fract_z
_atom_site_occupancy
Ni1 0.0000 0.0000 0.0000 1
Ni2 0.0000 0.0000 0.3090 1
Ni3 0.0000 0.5000 0.0891 1
Ni4 0.0000 0.5000 0.4126 1
Ni5 0.0000 0.5000 0.5889 1
Ni6 0.0000 0.5000 0.9113 1
Ni7 0.5000 0.5000 0.5009 1
Ge1 0.0000 0.0000 0.5003 1
Ge2 0.5000 0.5000 0.0000 1
Te1 0.0000 0.0000 0.1773 1
Te2 0.0000 0.0000 0.8219 1
Te3 0.5000 0.5000 0.3171 1
Te4 0.5000 0.5000 0.6780 1
```

---

Compound: Sr6YScB6O18
Source: the Materials Project database
Functional: PBE-GGA
Structure: relaxed

Summary:
total magnetization: 0.0000 μB per atom

The structure in CIF format:
```
data_Sr6YScB6O18
_chemical_formula_sum 'Sr18 Y3 Sc3 B18 O54'
_space_group_name_H-M_alt 'R -3'
_space_group_IT_number 148
_space_group_name_Hall '-R 3'
_cell_length_a 12.4374
_cell_length_b 12.4374
_cell_length_c 9.3794
_cell_angle_alpha 90.00
_cell_angle_beta 90.00
_cell_angle_gamma 120.00
loop_
_atom_site_label
_atom_site_fract_x
_atom_site_fract_y
_atom_site_fract_z
_atom_site_occupancy
Sr1 0.0440 0.4661 0.3118 1
Y1 0.0000 0.0000 0.0000 1
Sc1 0.0000 0.0000 0.5000 1
B1 0.0530 0.1964 0.2398 1
O1 0.0070 0.7416 0.8024 1
O2 0.0466 0.8791 0.1444 1
O3 0.0498 0.1632 0.3830 1
```

---

The DFT formation energy results, record by record, are as follows: 5; -2965; -332; -3342 meV/atom.